1.
CrN2 | PBE-GGA | relaxed

Unit cell a=10.690 b=10.690 c=26.616 alpha=76.09 beta=76.09 gamma=30.83
Atoms (fractional coordinates):
Cr 0.021 0.061 0.935
Cr 0.061 0.021 0.435
Cr 0.719 0.687 0.767
Cr 0.687 0.719 0.267
Cr 0.891 0.934 0.874
Cr 0.934 0.891 0.374
Cr 0.550 0.598 0.705
Cr 0.598 0.550 0.205
Cr 0.402 0.446 0.799
Cr 0.446 0.402 0.299
Cr 0.782 0.739 0.964
Cr 0.739 0.782 0.464
Cr 0.315 0.282 0.734
Cr 0.282 0.315 0.234
Cr 0.618 0.654 0.899
Cr 0.654 0.618 0.399
Cr 0.379 0.345 0.601
Cr 0.345 0.379 0.101
Cr 0.972 0.941 0.565
Cr 0.941 0.972 0.065
Cr 0.211 0.257 0.540
Cr 0.257 0.211 0.040
Cr 0.057 0.106 0.630
Cr 0.106 0.057 0.130
N 0.294 0.864 0.668
N 0.864 0.294 0.168
N 0.793 0.356 0.666
N 0.356 0.793 0.166
N 0.537 0.958 0.005
N 0.958 0.537 0.505
N 0.031 0.460 0.998
N 0.460 0.031 0.498
N 0.136 0.697 0.833
N 0.697 0.136 0.333
N 0.633 0.201 0.839
N 0.201 0.633 0.339
N 0.676 0.133 0.578
N 0.133 0.676 0.078
N 0.186 0.634 0.581
N 0.634 0.186 0.081
N 0.535 0.974 0.750
N 0.974 0.535 0.250
N 0.022 0.469 0.750
N 0.469 0.022 0.250
N 0.312 0.871 0.917
N 0.871 0.312 0.417
N 0.807 0.362 0.919
N 0.362 0.807 0.419
N 0.965 0.990 0.901
N 0.990 0.965 0.401
N 0.842 0.835 0.923
N 0.835 0.842 0.423
N 0.670 0.665 0.832
N 0.665 0.670 0.332
N 0.630 0.646 0.733
N 0.646 0.630 0.233
N 0.358 0.361 0.765
N 0.361 0.358 0.265
N 0.356 0.313 0.667
N 0.313 0.356 0.167
N 0.475 0.523 0.753
N 0.523 0.475 0.253
N 0.126 0.181 0.582
N 0.181 0.126 0.082
N 0.009 0.017 0.600
N 0.017 0.009 0.100
N 0.982 0.020 0.000
N 0.020 0.982 0.500
N 0.697 0.704 0.927
N 0.704 0.697 0.427
N 0.285 0.295 0.575
N 0.295 0.285 0.075

Computed properties:
Total magnetization ... 0.0 μB per formula unit


2.
Cd2GeO4 | PBE-GGA | relaxed

Unit cell a=5.288 b=6.694 c=11.407 alpha=90.00 beta=90.00 gamma=90.00
Atoms (fractional coordinates):
Cd 0.490 0.750 0.780
Cd 0.990 0.250 0.720
Cd 0.510 0.250 0.220
Cd 0.010 0.750 0.280
Cd 0.500 0.500 0.500
Cd 0.000 0.500 0.000
Cd 0.500 0.000 0.500
Cd 0.000 0.000 0.000
Ge 0.933 0.750 0.598
Ge 0.433 0.250 0.902
Ge 0.067 0.250 0.402
Ge 0.567 0.750 0.098
O 0.220 0.461 0.336
O 0.720 0.539 0.164
O 0.780 0.961 0.664
O 0.280 0.039 0.836
O 0.780 0.539 0.664
O 0.280 0.461 0.836
O 0.220 0.039 0.336
O 0.720 0.961 0.164
O 0.790 0.750 0.453
O 0.290 0.250 0.047
O 0.210 0.250 0.547
O 0.710 0.750 0.953
O 0.233 0.750 0.097
O 0.733 0.250 0.403
O 0.767 0.250 0.903
O 0.267 0.750 0.597


no.,electronic total energy (Ry/atom)
1,-0.63579
2,-0.37714